[1]
VASP calculation (PBE with a Hubbard U) on crystalline NaCrH12S2O8 at its relaxed geometry.

Unit cell a=10.076 b=10.076 c=10.076 alpha=90.00 beta=90.00 gamma=90.00
Space group Pa-3 (No. 205)
Asymmetric unit:
Na  0.000  0.000  0.000 [4 per cell]
Cr  0.000  0.000  0.500 [4 per cell]
H  0.013  0.624  0.781 [24 per cell]
H  0.019  0.549  0.771 [24 per cell]
S  0.186  0.186  0.186 [8 per cell]
O  0.060  0.146  0.255 [24 per cell]
O  0.230  0.730  0.770 [8 per cell]



[2]
VASP calculation (PBE with a Hubbard U) on crystalline YMnW2O8 at its relaxed geometry.

Results
Energy above the lowest structure with this stoichiometry: 0 meV/atom

Unit cell a=5.226 b=5.874 c=10.119 alpha=90.49 beta=93.83 gamma=91.12
Space group P-1 (No. 2)
Asymmetric unit:
Y  0.242  0.317  0.240 [2 per cell]
Mn  0.253  0.303  0.763 [2 per cell]
W  0.243  0.832  0.005 [2 per cell]
W  0.249  0.830  0.496 [2 per cell]
O  0.045  0.079  0.884 [2 per cell]
O  0.054  0.109  0.403 [2 per cell]
O  0.095  0.634  0.371 [2 per cell]
O  0.126  0.609  0.877 [2 per cell]
O  0.390  0.628  0.141 [2 per cell]
O  0.390  0.631  0.617 [2 per cell]
O  0.434  0.110  0.097 [2 per cell]
O  0.454  0.099  0.606 [2 per cell]



[3]
VASP calculation (PBE with a Hubbard U) on crystalline Li24MnCr11O36 at its relaxed geometry.

Results
Energy above the lowest structure with this stoichiometry: 0 meV/atom

Unit cell a=5.080 b=10.587 c=13.026 alpha=112.86 beta=96.69 gamma=95.62
Space group P1 (No. 1)
Asymmetric unit:
Li  0.000  0.000  0.000 [1 per cell]
Li  0.000  0.000  0.500 [1 per cell]
Li  0.107  0.213  0.212 [1 per cell]
Li  0.108  0.212  0.712 [1 per cell]
Li  0.220  0.439  0.940 [1 per cell]
Li  0.220  0.939  0.689 [1 per cell]
Li  0.220  0.940  0.189 [1 per cell]
Li  0.221  0.440  0.440 [1 per cell]
Li  0.333  0.667  0.666 [1 per cell]
Li  0.335  0.665  0.165 [1 per cell]
Li  0.440  0.879  0.879 [1 per cell]
Li  0.440  0.880  0.379 [1 per cell]
Li  0.554  0.106  0.606 [1 per cell]
Li  0.554  0.108  0.107 [1 per cell]
Li  0.554  0.605  0.355 [1 per cell]
Li  0.554  0.606  0.856 [1 per cell]
Li  0.667  0.333  0.332 [1 per cell]
Li  0.668  0.334  0.833 [1 per cell]
Li  0.773  0.546  0.047 [1 per cell]
Li  0.773  0.546  0.546 [1 per cell]
Li  0.885  0.773  0.272 [1 per cell]
Li  0.887  0.273  0.522 [1 per cell]
Li  0.887  0.773  0.772 [1 per cell]
Li  0.888  0.273  0.023 [1 per cell]
Mn  0.444  0.385  0.133 [1 per cell]
Cr  0.003  0.494  0.243 [1 per cell]
Cr  0.106  0.719  0.471 [1 per cell]
Cr  0.111  0.720  0.970 [1 per cell]
Cr  0.329  0.159  0.409 [1 per cell]
Cr  0.330  0.158  0.908 [1 per cell]
Cr  0.444  0.387  0.637 [1 per cell]
Cr  0.660  0.826  0.576 [1 per cell]
Cr  0.664  0.826  0.075 [1 per cell]
Cr  0.776  0.053  0.303 [1 per cell]
Cr  0.778  0.055  0.804 [1 per cell]
Cr  0.997  0.492  0.742 [1 per cell]
O  0.001  0.227  0.364 [1 per cell]
O  0.001  0.228  0.864 [1 per cell]
O  0.106  0.985  0.348 [1 per cell]
O  0.107  0.985  0.848 [1 per cell]
O  0.122  0.469  0.606 [1 per cell]
O  0.130  0.465  0.103 [1 per cell]
O  0.191  0.681  0.316 [1 per cell]
O  0.196  0.682  0.818 [1 per cell]
O  0.244  0.197  0.061 [1 per cell]
O  0.245  0.197  0.561 [1 per cell]
O  0.314  0.413  0.273 [1 per cell]
O  0.319  0.410  0.773 [1 per cell]
O  0.334  0.894  0.031 [1 per cell]
O  0.335  0.893  0.530 [1 per cell]
O  0.437  0.652  0.514 [1 per cell]
O  0.440  0.652  0.015 [1 per cell]
O  0.455  0.136  0.273 [1 per cell]
O  0.455  0.137  0.773 [1 per cell]
O  0.529  0.349  0.484 [1 per cell]
O  0.531  0.349  0.985 [1 per cell]
O  0.578  0.864  0.728 [1 per cell]
O  0.579  0.864  0.227 [1 per cell]
O  0.653  0.076  0.939 [1 per cell]
O  0.653  0.077  0.440 [1 per cell]
O  0.667  0.561  0.697 [1 per cell]
O  0.672  0.562  0.200 [1 per cell]
O  0.765  0.319  0.180 [1 per cell]
O  0.773  0.318  0.681 [1 per cell]
O  0.788  0.802  0.939 [1 per cell]
O  0.791  0.803  0.440 [1 per cell]
O  0.862  0.016  0.151 [1 per cell]
O  0.863  0.016  0.652 [1 per cell]
O  0.912  0.530  0.894 [1 per cell]
O  0.914  0.531  0.396 [1 per cell]
O  0.984  0.745  0.608 [1 per cell]
O  0.986  0.743  0.106 [1 per cell]



[4]
VASP calculation (PBE with a Hubbard U) on crystalline LiCo4O8 at its relaxed geometry.

Results
Energy above the lowest structure with this stoichiometry: 44 meV/atom

Unit cell a=5.707 b=5.712 c=9.889 alpha=73.40 beta=73.32 gamma=60.28
Space group P-1 (No. 2)
Asymmetric unit:
Li  0.249  0.252  0.250 [2 per cell]
Co  0.000  0.000  0.000 [1 per cell]
Co  0.000  0.500  0.000 [1 per cell]
Co  0.000  0.500  0.500 [1 per cell]
Co  0.258  0.254  0.747 [2 per cell]
Co  0.500  0.000  0.000 [1 per cell]
Co  0.500  0.000  0.500 [1 per cell]
Co  0.500  0.500  0.500 [1 per cell]
O  0.084  0.631  0.125 [2 per cell]
O  0.144  0.144  0.105 [2 per cell]
O  0.151  0.589  0.618 [2 per cell]
O  0.155  0.148  0.619 [2 per cell]
O  0.355  0.354  0.881 [2 per cell]
O  0.370  0.915  0.876 [2 per cell]
O  0.372  0.362  0.398 [2 per cell]
O  0.403  0.859  0.383 [2 per cell]



[5]
VASP calculation (PBE with a Hubbard U) on crystalline Li4CoSi3O9 at its relaxed geometry.

Unit cell a=7.431 b=10.141 c=10.083 alpha=90.00 beta=91.86 gamma=90.00
Space group C2 (No. 5)
Asymmetric unit:
Li  0.000  0.000  0.000 [2 per cell]
Li  0.000  0.003  0.500 [2 per cell]
Li  0.000  0.557  0.000 [2 per cell]
Li  0.000  0.640  0.500 [2 per cell]
Li  0.141  0.330  0.707 [4 per cell]
Li  0.214  0.600  0.295 [4 per cell]
Co  0.008  0.830  0.244 [4 per cell]
Si  0.188  0.329  0.445 [4 per cell]
Si  0.206  0.281  0.004 [4 per cell]
Si  0.225  0.118  0.250 [4 per cell]
O  0.000  0.355  0.000 [2 per cell]
O  0.000  0.402  0.500 [2 per cell]
O  0.062  0.643  0.718 [4 per cell]
O  0.100  0.232  0.322 [4 per cell]
O  0.160  0.877  0.912 [4 per cell]
O  0.170  0.973  0.295 [4 per cell]
O  0.181  0.136  0.086 [4 per cell]
O  0.186  0.938  0.621 [4 per cell]
O  0.224  0.736  0.440 [4 per cell]
O  0.236  0.738  0.143 [4 per cell]



[6]
VASP calculation (PBE with a Hubbard U) on crystalline Sr2NiClO3 at its relaxed geometry.

Results
Energy above the lowest structure with this stoichiometry: 6 meV/atom

Unit cell a=5.503 b=5.516 c=15.223 alpha=100.41 beta=100.41 gamma=90.02
Space group P-1 (No. 2)
Asymmetric unit:
Sr  0.080  0.330  0.159 [2 per cell]
Sr  0.203  0.452  0.405 [2 per cell]
Sr  0.297  0.047  0.594 [2 per cell]
Sr  0.420  0.170  0.840 [2 per cell]
Ni  0.145  0.896  0.292 [2 per cell]
Ni  0.352  0.601  0.703 [2 per cell]
Cl  0.038  0.788  0.076 [2 per cell]
Cl  0.459  0.709  0.919 [2 per cell]
O  0.106  0.356  0.728 [2 per cell]
O  0.106  0.872  0.728 [2 per cell]
O  0.213  0.963  0.426 [2 per cell]
O  0.286  0.535  0.571 [2 per cell]
O  0.378  0.128  0.272 [2 per cell]
O  0.378  0.644  0.272 [2 per cell]



[7]
VASP calculation (PBE with a Hubbard U) on crystalline CrNi5P6O24 at its relaxed geometry.

Unit cell a=8.6092 b=8.6092 c=20.5477 alpha=90.00 beta=90.00 gamma=120.00
Space group R3 (No. 146, hexagonal axes)
Asymmetric unit:
Cr  0.0000  0.0000  0.0000 [3 per cell]
Ni  0.0000  0.0000  0.1429 [3 per cell]
Ni  0.0000  0.0000  0.2837 [3 per cell]
Ni  0.0000  0.0000  0.5010 [3 per cell]
Ni  0.0000  0.0000  0.6420 [3 per cell]
Ni  0.0000  0.0000  0.7832 [3 per cell]
P  0.9998  0.2943  0.8916 [9 per cell]
P  0.0002  0.7035  0.3917 [9 per cell]
O  0.0022  0.7977  0.4541 [9 per cell]
O  0.0091  0.8346  0.0653 [9 per cell]
O  0.0146  0.1973  0.9529 [9 per cell]
O  0.0213  0.1868  0.5710 [9 per cell]
O  0.1342  0.6737  0.9957 [9 per cell]
O  0.1390  0.4606  0.4957 [9 per cell]
O  0.1652  0.6775  0.3817 [9 per cell]
O  0.1670  0.4835  0.8823 [9 per cell]



[8]
VASP calculation (PBE with a Hubbard U) on crystalline LiFe3Si2O8 at its relaxed geometry.

Unit cell a=5.090 b=8.896 c=13.516 alpha=108.30 beta=100.46 gamma=90.04
Space group P1 (No. 1)
Asymmetric unit:
Li  0.000  0.000  0.000 [1 per cell]
Li  0.118  0.639  0.168 [1 per cell]
Li  0.781  0.720  0.504 [1 per cell]
Fe  0.202  0.262  0.517 [1 per cell]
Fe  0.230  0.469  0.373 [1 per cell]
Fe  0.276  0.001  0.677 [1 per cell]
Fe  0.492  0.758  0.864 [1 per cell]
Fe  0.548  0.174  0.173 [1 per cell]
Fe  0.567  0.498  0.022 [1 per cell]
Fe  0.618  0.900  0.322 [1 per cell]
Fe  0.792  0.477  0.667 [1 per cell]
Fe  0.882  0.227  0.820 [1 per cell]
Si  0.016  0.605  0.922 [1 per cell]
Si  0.082  0.072  0.263 [1 per cell]
Si  0.294  0.631  0.608 [1 per cell]
Si  0.458  0.123  0.926 [1 per cell]
Si  0.676  0.543  0.263 [1 per cell]
Si  0.736  0.104  0.576 [1 per cell]
O  0.062  0.136  0.598 [1 per cell]
O  0.086  0.479  0.590 [1 per cell]
O  0.108  0.237  0.362 [1 per cell]
O  0.119  0.784  0.618 [1 per cell]
O  0.153  0.758  0.902 [1 per cell]
O  0.195  0.566  0.023 [1 per cell]
O  0.200  0.095  0.829 [1 per cell]
O  0.345  0.141  0.036 [1 per cell]
O  0.394  0.030  0.241 [1 per cell]
O  0.467  0.688  0.267 [1 per cell]
O  0.468  0.588  0.513 [1 per cell]
O  0.487  0.384  0.258 [1 per cell]
O  0.518  0.647  0.719 [1 per cell]
O  0.603  0.265  0.562 [1 per cell]
O  0.634  0.951  0.468 [1 per cell]
O  0.643  0.969  0.906 [1 per cell]
O  0.649  0.277  0.934 [1 per cell]
O  0.660  0.069  0.680 [1 per cell]
O  0.717  0.656  0.951 [1 per cell]
O  0.806  0.508  0.158 [1 per cell]
O  0.895  0.098  0.158 [1 per cell]
O  0.904  0.591  0.370 [1 per cell]
O  0.957  0.920  0.287 [1 per cell]
O  0.963  0.450  0.813 [1 per cell]



It is found that the mass density values, taken in the order of the records, are 1.81; 6.86; 3.59; 4.66; 2.75; 4.72; 3.46; 3.13 g cm⁻³.
It is found that the uncorrected energy values, taken in the order of the records, are -0.1666; -0.2938; -0.2304; -0.2099; -0.2452; -0.1943; -0.2371; -0.2587 Ha/atom.